Material: Ba2LiGe3
Method: DFT, PBE-GGA
State: relaxed

For the formation energy from the elements, the calculation gives -565 meV/atom. The value obtained for the energy is -3.83 eV per atom.

Cell and atoms, written as CIF:
```
data_Ba2LiGe3
_chemical_formula_sum 'Ba32 Li16 Ge48'
_cell_length_a 8.957
_cell_length_b 15.571
_cell_length_c 19.728
_cell_angle_alpha 90.00
_cell_angle_beta 90.00
_cell_angle_gamma 90.00
_symmetry_space_group_name_H-M 'F d d d'
_symmetry_Int_Tables_number 70
loop_
_symmetry_equiv_pos_as_xyz
'x,y,z'
'-x,-y,-z'
'-x+1/4,-y+1/4,z'
'x+1/4,y+1/4,-z'
'x,-y+1/4,-z+1/4'
'-x,y+1/4,z+1/4'
'-x+1/4,y,-z+1/4'
'x+1/4,-y,z+1/4'
'x,y+1/2,z+1/2'
'-x,-y+1/2,-z+1/2'
'-x+1/4,-y+3/4,z+1/2'
'x+1/4,y+3/4,-z+1/2'
'x,-y+3/4,-z+3/4'
'-x,y+3/4,z+3/4'
'-x+1/4,y+1/2,-z+3/4'
'x+1/4,-y+1/2,z+3/4'
'x+1/2,y,z+1/2'
'-x+1/2,-y,-z+1/2'
'-x+3/4,-y+1/4,z+1/2'
'x+3/4,y+1/4,-z+1/2'
'x+1/2,-y+1/4,-z+3/4'
'-x+1/2,y+1/4,z+3/4'
'-x+3/4,y,-z+3/4'
'x+3/4,-y,z+3/4'
'x+1/2,y+1/2,z'
'-x+1/2,-y+1/2,-z'
'-x+3/4,-y+3/4,z'
'x+3/4,y+3/4,-z'
'x+1/2,-y+3/4,-z+1/4'
'-x+1/2,y+3/4,z+1/4'
'-x+3/4,y+1/2,-z+1/4'
'x+3/4,-y+1/2,z+1/4'
loop_
_atom_site_label
_atom_site_type_symbol
_atom_site_fract_x
_atom_site_fract_y
_atom_site_fract_z
Ba1 Ba 0.125 0.125 0.001
Ba2 Ba 0.125 0.125 0.503
Li1 Li 0.125 0.293 0.125
Ge1 Ge 0.120 0.293 0.879
Ge2 Ge 0.125 0.289 0.625
```

Material: CeMnB4
Method: DFT, PBE-GGA
State: relaxed

For the formation energy from the elements, the calculation gives -588 meV/atom. The value obtained for the energy is -7.56 eV per atom.

Cell and atoms, written as CIF:
```
data_CeMnB4
_chemical_formula_sum 'Ce4 Mn4 B16'
_cell_length_a 5.941
_cell_length_b 11.496
_cell_length_c 3.505
_cell_angle_alpha 90.00
_cell_angle_beta 90.00
_cell_angle_gamma 90.00
_symmetry_space_group_name_H-M 'P b a m'
_symmetry_Int_Tables_number 55
loop_
_symmetry_equiv_pos_as_xyz
'x,y,z'
'-x,-y,-z'
'-x,-y,z'
'x,y,-z'
'x+1/2,-y+1/2,-z'
'-x+1/2,y+1/2,z'
'-x+1/2,y+1/2,-z'
'x+1/2,-y+1/2,z'
loop_
_atom_site_label
_atom_site_type_symbol
_atom_site_fract_x
_atom_site_fract_y
_atom_site_fract_z
Ce1 Ce 0.125 0.150 0.000
Mn1 Mn 0.129 0.414 0.000
B1 B 0.024 0.689 0.500
B2 B 0.111 0.545 0.500
B3 B 0.141 0.967 0.500
B4 B 0.221 0.817 0.500
```

Number 1: theoretical density 4.82 g/cm3. Number 2: theoretical density 6.61 g/cm3.